No. 1
Below is a relaxed structure of Si7NiN10, with properties calculated at the PBE level.

As for the crystal system: monoclinic. For the density, the calculation gives 3008 kg/m3. The calculation puts the total moment at 0.00 Bohr magnetons per cell. Its formation energy is -984.1 meV/atom. The total energy is -7.846 eV per atom.

a = 6.640 Å, b = 6.962 Å, c = 9.695 Å
α = 90.00°, β = 103.14°, γ = 90.00°
Space group Pc (No. 7)
Unique sites:
Si 0.000 0.017 0.000 (multiplicity 2)
Si 0.112 0.360 0.665 (multiplicity 2)
Si 0.303 0.381 0.989 (multiplicity 2)
Si 0.573 0.401 0.752 (multiplicity 2)
Si 0.756 0.377 0.059 (multiplicity 2)
Si 0.806 0.018 0.700 (multiplicity 2)
Si 0.943 0.366 0.363 (multiplicity 2)
Ni 0.427 0.116 0.864 (multiplicity 2)
N 0.006 0.139 0.644 (multiplicity 2)
N 0.157 0.416 0.499 (multiplicity 2)
N 0.211 0.152 0.985 (multiplicity 2)
N 0.335 0.375 0.806 (multiplicity 2)
N 0.532 0.431 0.115 (multiplicity 2)
N 0.610 0.160 0.729 (multiplicity 2)
N 0.745 0.494 0.901 (multiplicity 2)
N 0.781 0.131 0.048 (multiplicity 2)
N 0.907 0.122 0.349 (multiplicity 2)
N 0.955 0.458 0.198 (multiplicity 2)



No. 2
Below is a relaxed structure of Si5Ni2N8, with properties calculated at the PBE level.

As for the crystal system: orthorhombic. For the density, the calculation gives 3452 kg/m3. The calculation puts the total moment at 0.12 Bohr magnetons per cell. Its formation energy is -800.3 meV/atom. The total energy is -7.633 eV per atom.

a = 9.823 Å, b = 13.601 Å, c = 10.652 Å
α = 90.00°, β = 90.00°, γ = 90.00°
Space group Pbca (No. 61)
Unique sites:
Si 0.012 0.201 0.023 (multiplicity 8)
Si 0.013 0.674 0.755 (multiplicity 8)
Si 0.137 0.024 0.200 (multiplicity 8)
Si 0.239 0.216 0.348 (multiplicity 8)
Si 0.241 0.166 0.610 (multiplicity 8)
Ni 0.113 0.527 0.223 (multiplicity 8)
Ni 0.153 0.517 0.449 (multiplicity 8)
N 0.036 0.552 0.787 (multiplicity 8)
N 0.048 0.080 0.074 (multiplicity 8)
N 0.087 0.700 0.611 (multiplicity 8)
N 0.092 0.748 0.864 (multiplicity 8)
N 0.154 0.225 0.491 (multiplicity 8)
N 0.159 0.206 0.745 (multiplicity 8)
N 0.241 0.092 0.303 (multiplicity 8)
N 0.242 0.038 0.607 (multiplicity 8)



No. 3
Below is a relaxed structure of Sr2NiN2, with properties calculated at the PBE level.

As for the crystal system: orthorhombic. For the density, the calculation gives 4675 kg/m3. The calculation puts the total moment at 8.00 Bohr magnetons per cell. Its formation energy is -676.9 meV/atom. The total energy is -5.699 eV per atom.

a = 7.711 Å, b = 3.854 Å, c = 12.525 Å
α = 90.00°, β = 90.00°, γ = 90.00°
Space group Pnma (No. 62)
Unique sites:
Sr 0.117 0.250 0.103 (multiplicity 4)
Sr 0.127 0.250 0.399 (multiplicity 4)
Ni 0.128 0.250 0.748 (multiplicity 4)
N 0.124 0.250 0.889 (multiplicity 4)
N 0.132 0.250 0.608 (multiplicity 4)



No. 4
Below is a relaxed structure of Sr2NiN2, with properties calculated at the PBE level.

As for the crystal system: tetragonal. For the density, the calculation gives 4702 kg/m3. The calculation puts the total moment at 4.00 Bohr magnetons per cell. Its formation energy is -679.5 meV/atom. The total energy is -5.702 eV per atom.

a = 3.852 Å, b = 3.852 Å, c = 12.472 Å
α = 90.00°, β = 90.00°, γ = 90.00°
Space group I4mm (No. 107)
Unique sites:
Sr 0.000 0.000 0.000 (multiplicity 2)
Sr 0.000 0.000 0.296 (multiplicity 2)
Ni 0.000 0.000 0.649 (multiplicity 2)
N 0.000 0.000 0.508 (multiplicity 2)
N 0.000 0.000 0.790 (multiplicity 2)



No. 5
Below is a relaxed structure of Sr5NiN4, with properties calculated at the PBE level.

As for the crystal system: monoclinic. For the density, the calculation gives 3939 kg/m3. The calculation puts the total moment at 3.96 Bohr magnetons per cell. Its formation energy is -332.4 meV/atom. The total energy is -4.945 eV per atom.

a = 9.604 Å, b = 16.189 Å, c = 12.356 Å
α = 90.00°, β = 103.96°, γ = 90.00°
Space group P2_1/m (No. 11)
Unique sites:
Sr 0.000 0.000 0.000 (multiplicity 2)
Sr 0.046 0.250 0.010 (multiplicity 2)
Sr 0.102 0.627 0.330 (multiplicity 4)
Sr 0.115 0.130 0.328 (multiplicity 4)
Sr 0.176 0.750 0.600 (multiplicity 2)
Sr 0.198 0.506 0.573 (multiplicity 4)
Sr 0.203 0.250 0.577 (multiplicity 2)
Sr 0.270 0.147 0.845 (multiplicity 4)
Sr 0.292 0.642 0.861 (multiplicity 4)
Sr 0.437 0.750 0.233 (multiplicity 2)
Sr 0.439 0.250 0.255 (multiplicity 2)
Sr 0.442 0.505 0.247 (multiplicity 4)
Sr 0.482 0.117 0.494 (multiplicity 4)
Ni 0.114 0.502 0.820 (multiplicity 4)
Ni 0.317 0.750 0.420 (multiplicity 2)
Ni 0.482 0.250 0.008 (multiplicity 2)
N 0.001 0.126 0.497 (multiplicity 4)
N 0.052 0.250 0.799 (multiplicity 2)
N 0.095 0.750 0.831 (multiplicity 2)
N 0.260 0.010 0.948 (multiplicity 4)
N 0.275 0.526 0.037 (multiplicity 4)
N 0.290 0.250 0.395 (multiplicity 2)
N 0.297 0.002 0.392 (multiplicity 4)
N 0.312 0.250 0.029 (multiplicity 2)
N 0.387 0.622 0.692 (multiplicity 4)
N 0.400 0.133 0.694 (multiplicity 4)



No. 6
Below is a relaxed structure of Ni4Te3N2, with properties calculated at the PBE level.

As for the crystal system: orthorhombic. For the density, the calculation gives 6964 kg/m3. The calculation puts the total moment at 0.00 Bohr magnetons per cell. Its formation energy is 138.2 meV/atom. As for the polymorph energy (0 for the lowest one): 22 meV/atom. The total energy is -5.251 eV per atom.

a = 6.419 Å, b = 13.497 Å, c = 3.553 Å
α = 90.00°, β = 90.00°, γ = 90.00°
Space group Pnnm (No. 58)
Unique sites:
Ni 0.143 0.099 0.000 (multiplicity 4)
Ni 0.175 0.940 0.500 (multiplicity 4)
Te 0.000 0.500 0.500 (multiplicity 2)
Te 0.194 0.794 0.000 (multiplicity 4)
N 0.122 0.080 0.500 (multiplicity 4)